This record from the Materials Project database describes an optimized crystal structure of Na7CaIn3Si3S3O24. The functional is PBE.

Summary:
Energy = -6.0342 eV/atom
MP2020-corrected energy = -6.44 eV/atom
SG = P1, No. 1
Size of the total moment = 0.0 μB/cell
Formation energy from the elements = -2364.3 meV/atom

Lattice parameters (Å, degrees): 9.340 9.352 22.852 90.39 89.91 119.82
Sites, in units of the cell vectors:
Na1 0.729 0.691 0.416
Na2 0.016 0.698 0.574
Na3 0.635 0.989 0.240
Na4 0.333 0.014 0.417
Na5 0.351 0.660 0.158
Na6 0.982 0.980 0.497
Na7 0.320 0.984 0.079
Na8 0.668 0.955 0.584
Na9 0.013 0.012 0.005
Na10 0.390 0.021 0.760
Na11 0.648 0.313 0.831
Na12 0.994 0.343 0.751
Na13 0.334 0.283 0.918
Na14 0.978 0.635 0.256
Na15 0.955 0.299 0.413
Na16 0.681 0.353 0.333
Na17 0.690 0.036 0.917
Na18 0.650 0.693 0.092
Na19 0.387 0.383 0.237
Na20 0.361 0.647 0.668
Na21 0.619 0.626 0.738
O1 0.031 0.803 0.695
O2 0.855 0.542 0.032
O3 0.866 0.310 0.530
O4 0.166 0.993 0.914
O5 0.515 0.829 0.754
O6 0.310 0.858 0.975
O7 0.491 0.842 0.078
O8 0.643 0.103 0.142
O9 0.195 0.983 0.197
O10 0.488 0.356 0.422
O11 0.309 0.449 0.468
O12 0.555 0.858 0.476
O13 0.868 0.357 0.921
O14 0.127 0.629 0.359
O15 0.993 0.216 0.307
O16 0.144 0.458 0.966
O17 0.796 0.775 0.312
O18 0.181 0.150 0.090
O19 0.171 0.209 0.697
O20 0.531 0.631 0.863
O21 0.634 0.158 0.427
O22 0.500 0.149 0.918
O23 0.697 0.134 0.022
O24 0.654 0.548 0.644
O25 0.466 0.138 0.246
O26 0.147 0.672 0.478
O27 0.691 0.165 0.752
O28 0.782 0.815 0.194
O29 0.507 0.671 0.579
O30 0.191 0.205 0.411
O31 0.158 0.477 0.254
O32 0.466 0.379 0.141
O33 0.362 0.470 0.362
O34 0.462 0.107 0.635
O35 0.135 0.487 0.578
O36 0.983 0.800 0.085
O37 0.553 0.688 0.969
O38 0.673 0.510 0.248
O39 0.524 0.906 0.360
O40 0.775 0.960 0.693
O41 0.860 0.537 0.744
O42 0.301 0.838 0.252
O43 0.481 0.331 0.750
O44 0.818 0.982 0.081
O45 0.891 0.354 0.636
O46 0.987 0.184 0.585
O47 0.341 0.859 0.579
O48 0.656 0.517 0.923
O49 0.504 0.680 0.253
O50 0.335 0.499 0.073
O51 0.134 0.655 0.077
O52 0.441 0.125 0.529
O53 0.813 0.012 0.812
O54 0.110 0.461 0.860
O55 0.826 0.016 0.418
O56 0.191 0.007 0.587
O57 0.036 0.833 0.419
O58 0.976 0.784 0.801
O59 0.858 0.322 0.247
O60 0.855 0.499 0.419
O61 0.297 0.481 0.757
O62 0.357 0.879 0.857
O63 0.845 0.832 0.584
O64 0.014 0.203 0.915
O65 0.435 0.301 0.023
O66 0.896 0.544 0.138
O67 0.797 0.819 0.911
O68 0.221 0.018 0.304
O69 0.034 0.224 0.201
O70 0.220 0.189 0.813
O71 0.699 0.558 0.525
O72 0.156 0.691 0.755
In1 0.644 0.306 0.990
In2 0.342 0.672 0.817
In3 0.983 0.005 0.147
In4 0.330 0.671 0.016
In5 0.993 0.003 0.654
In6 0.351 0.686 0.321
In7 0.678 0.351 0.484
In8 0.348 0.671 0.514
In9 0.010 0.001 0.849
S1 0.336 0.371 0.416
S2 0.034 0.372 0.916
S3 0.360 0.028 0.582
S4 0.965 0.631 0.083
S5 0.005 0.705 0.749
S6 0.009 0.308 0.253
S7 0.971 0.334 0.583
S8 0.636 0.664 0.917
S9 0.296 0.996 0.250
Ca1 0.657 0.335 0.683
Ca2 0.659 0.332 0.175
Ca3 0.992 0.990 0.352
Si1 0.665 0.022 0.082
Si2 0.693 0.695 0.252
Si3 0.637 0.982 0.420
Si4 0.702 0.995 0.754
Si5 0.670 0.645 0.584
Si6 0.293 0.299 0.754
Si7 0.327 0.962 0.916
Si8 0.351 0.334 0.083
Si9 0.044 0.662 0.419

---

This record from the Materials Project database describes an optimized crystal structure of Na6Ca4In4SiS11O48. The functional is PBE.

Summary:
Energy = -6.0824 eV/atom
MP2020-corrected energy = -6.53 eV/atom
SG = P1, No. 1
Size of the total moment = 0.0 μB/cell
Formation energy from the elements = -2265.9 meV/atom

Lattice parameters (Å, degrees): 18.117 9.074 23.873 89.95 89.97 120.01
Sites, in units of the cell vectors:
O1 0.440 0.351 0.635
O2 0.416 0.790 0.588
O3 0.842 0.548 0.538
O4 0.274 0.692 0.966
O5 0.147 0.838 0.254
O6 0.097 0.028 0.589
O7 0.736 0.136 0.244
O8 0.726 0.357 0.133
O9 0.232 0.148 0.245
O10 0.155 0.433 0.468
O11 0.016 0.219 0.198
O12 0.733 0.310 0.747
O13 0.505 0.807 0.412
O14 0.167 0.488 0.077
O15 0.577 0.666 0.077
O16 0.565 0.482 0.579
O17 0.773 0.657 0.864
O18 0.150 0.860 0.969
O19 0.918 0.545 0.746
O20 0.398 0.967 0.693
O21 0.321 0.099 0.134
O22 0.405 0.000 0.418
O23 0.228 0.357 0.134
O24 0.769 0.883 0.360
O25 0.918 0.814 0.585
O26 0.416 0.544 0.742
O27 0.755 0.847 0.077
O28 0.651 0.857 0.965
O29 0.930 0.523 0.418
O30 0.344 0.535 0.244
O31 0.597 0.207 0.699
O32 0.933 0.312 0.537
O33 0.572 0.684 0.754
O34 0.074 0.472 0.254
O35 0.954 0.550 0.136
O36 0.598 0.974 0.198
O37 0.408 0.033 0.806
O38 0.565 0.673 0.467
O39 0.272 0.656 0.864
O40 0.911 0.006 0.085
O41 0.917 0.040 0.806
O42 0.758 0.831 0.753
O43 0.097 0.204 0.698
O44 0.262 0.827 0.748
O45 0.718 0.133 0.538
O46 0.244 0.336 0.422
O47 0.841 0.127 0.034
O48 0.937 0.558 0.034
O49 0.993 0.795 0.801
O50 0.170 0.885 0.867
O51 0.670 0.887 0.863
O52 0.224 0.146 0.534
O53 0.486 0.788 0.800
O54 0.089 0.180 0.411
O55 0.081 0.978 0.914
O56 0.327 0.520 0.923
O57 0.439 0.569 0.032
O58 0.897 0.962 0.697
O59 0.150 0.455 0.754
O60 0.737 0.135 0.921
O61 0.606 0.180 0.801
O62 0.179 0.456 0.366
O63 0.652 0.832 0.255
O64 0.665 0.487 0.076
O65 0.255 0.846 0.077
O66 0.427 0.309 0.533
O67 0.015 0.815 0.698
O68 0.078 0.662 0.077
O69 0.607 0.016 0.300
O70 0.758 0.699 0.258
O71 0.514 0.221 0.197
O72 0.405 0.829 0.916
O73 0.344 0.533 0.536
O74 0.237 0.136 0.923
O75 0.451 0.543 0.133
O76 0.059 0.458 0.863
O77 0.831 0.555 0.640
O78 0.826 0.137 0.416
O79 0.762 0.668 0.583
O80 0.997 0.173 0.586
O81 0.329 0.523 0.639
O82 0.994 0.193 0.300
O83 0.581 0.977 0.912
O84 0.073 0.457 0.966
O85 0.267 0.690 0.249
O86 0.275 0.877 0.470
O87 0.093 0.981 0.199
O88 0.174 0.872 0.580
O89 0.433 0.342 0.923
O90 0.905 0.986 0.410
O91 0.847 0.524 0.248
O92 0.068 0.685 0.463
O93 0.270 0.903 0.369
O94 0.515 0.194 0.918
O95 0.487 0.173 0.586
O96 0.559 0.460 0.867
O97 0.663 0.854 0.583
O98 0.934 0.344 0.921
O99 0.494 0.199 0.299
O100 0.905 0.829 0.916
O101 0.844 0.172 0.749
O102 0.915 0.797 0.306
O103 0.674 0.467 0.364
O104 0.921 0.297 0.244
O105 0.587 0.014 0.589
O106 0.659 0.454 0.467
O107 0.822 0.095 0.136
O108 0.428 0.499 0.420
O109 0.002 0.820 0.087
O110 0.239 0.330 0.742
O111 0.215 0.308 0.033
O112 0.950 0.341 0.639
O113 0.515 0.819 0.698
O114 0.345 0.175 0.745
O115 0.345 0.122 0.033
O116 0.580 0.473 0.253
O117 0.715 0.308 0.032
O118 0.057 0.661 0.361
O119 0.720 0.103 0.640
O120 0.011 0.834 0.414
O121 0.571 0.452 0.969
O122 0.889 0.831 0.196
O123 0.827 0.519 0.922
O124 0.401 0.790 0.298
O125 0.073 0.483 0.581
O126 0.411 0.001 0.089
O127 0.588 0.177 0.088
O128 0.326 0.152 0.424
O129 0.107 0.026 0.301
O130 0.425 0.316 0.244
O131 0.260 0.640 0.583
O132 0.655 0.459 0.755
O133 0.015 0.195 0.916
O134 0.773 0.691 0.966
O135 0.089 0.178 0.090
O136 0.500 0.821 0.089
O137 0.070 0.671 0.753
O138 0.744 0.353 0.418
O139 0.395 0.807 0.195
O140 0.557 0.637 0.365
O141 0.233 0.125 0.636
O142 0.114 0.187 0.800
O143 0.589 0.198 0.413
O144 0.776 0.863 0.462
S1 0.647 0.991 0.250
S2 0.674 0.027 0.587
S3 0.336 0.621 0.586
S4 0.176 0.332 0.083
S5 0.167 0.355 0.417
S6 0.002 0.294 0.249
S7 0.017 0.673 0.414
S8 0.515 0.657 0.417
S9 0.661 0.965 0.915
S10 0.318 0.671 0.917
S11 0.352 0.705 0.247
S12 0.501 0.299 0.250
S13 0.833 0.022 0.083
S14 0.146 0.001 0.250
S15 0.988 0.330 0.586
S16 0.818 0.671 0.917
S17 0.162 0.965 0.917
S18 0.020 0.366 0.916
S19 0.318 0.979 0.420
S20 0.148 0.290 0.749
S21 0.333 0.022 0.083
S22 0.519 0.364 0.918
S23 0.183 0.042 0.584
S24 0.676 0.333 0.082
S25 0.991 0.644 0.083
S26 0.480 0.331 0.583
S27 0.837 0.643 0.586
S28 0.646 0.288 0.750
S29 0.498 0.710 0.748
S30 0.000 0.710 0.750
S31 0.818 0.967 0.412
S32 0.489 0.646 0.083
S33 0.666 0.368 0.416
Si1 0.354 0.003 0.748
Si2 0.854 0.001 0.751
Si3 0.851 0.707 0.252
In1 0.000 0.995 0.351
In2 0.501 0.003 0.152
In3 0.000 0.005 0.852
In4 0.666 0.670 0.014
In5 0.996 0.998 0.649
In6 0.334 0.317 0.684
In7 0.665 0.656 0.317
In8 0.333 0.333 0.484
In9 0.167 0.668 0.014
In10 0.994 0.992 0.151
In11 0.494 0.006 0.852
In12 0.497 0.002 0.648
Ca1 0.665 0.664 0.818
Ca2 0.833 0.331 0.484
Ca3 0.498 0.998 0.352
Ca4 0.166 0.662 0.515
Ca5 0.829 0.344 0.181
Ca6 0.173 0.686 0.816
Ca7 0.333 0.334 0.180
Ca8 0.175 0.672 0.320
Ca9 0.834 0.328 0.679
Ca10 0.833 0.332 0.986
Ca11 0.670 0.672 0.516
Ca12 0.333 0.333 0.987
Na1 0.335 0.335 0.332
Na2 0.993 0.351 0.752
Na3 0.500 0.000 0.002
Na4 0.826 0.356 0.335
Na5 0.667 0.653 0.170
Na6 0.336 0.301 0.834
Na7 0.177 0.670 0.166
Na8 0.818 0.992 0.247
Na9 0.694 0.000 0.749
Na10 0.835 0.315 0.837
Na11 0.818 0.651 0.744
Na12 0.503 0.005 0.495
Na13 0.673 0.675 0.663
Na14 0.319 0.654 0.747
Na15 0.178 0.700 0.665
Na16 0.001 0.002 0.002
Na17 0.994 0.639 0.256
Na18 0.997 0.996 0.498